Record 1
DFT (GGA+U) results for a geometry-optimized LiCoPO4 structure.

abc: 10.511 10.511 12.090
angles: 90.00 90.00 120.00
Fractional coordinates of all 84 atoms:
1 O 0.395 0.108 0.945
2 Li 0.000 0.745 0.833
3 Co 0.000 0.000 0.500
4 O 0.892 0.287 0.278
5 P 0.495 0.247 0.333
6 P 0.000 0.756 0.333
7 O 0.808 0.928 0.088
8 P 0.753 0.247 0.667
9 O 0.102 0.698 0.732
10 O 0.102 0.404 0.934
11 Co 0.500 0.500 0.342
12 Li 0.745 0.000 0.500
13 O 0.302 0.898 0.601
14 Co 0.000 0.500 0.008
15 O 0.713 0.605 0.612
16 O 0.120 0.192 0.755
17 Co 0.500 0.000 0.325
18 Li 0.499 0.750 0.833
19 O 0.302 0.404 0.066
20 Li 0.750 0.499 0.500
21 O 0.698 0.596 0.066
22 O 0.108 0.395 0.388
23 O 0.192 0.072 0.088
24 O 0.713 0.108 0.055
25 P 0.000 0.244 0.333
26 O 0.808 0.880 0.579
27 Li 0.250 0.501 0.500
28 O 0.617 0.201 0.743
29 P 0.244 0.244 0.667
30 O 0.880 0.808 0.755
31 O 0.892 0.605 0.388
32 O 0.928 0.808 0.245
33 O 0.698 0.102 0.601
34 O 0.201 0.617 0.590
35 Co 0.000 0.000 0.167
36 O 0.108 0.713 0.278
37 O 0.880 0.072 0.912
38 O 0.072 0.880 0.421
39 O 0.120 0.928 0.912
40 Co 0.500 0.500 0.667
41 O 0.928 0.120 0.421
42 O 0.287 0.395 0.612
43 O 0.404 0.102 0.399
44 Li 0.745 0.745 0.167
45 Co 0.500 0.000 0.675
46 O 0.287 0.892 0.055
47 Co 0.500 0.000 0.000
48 O 0.596 0.898 0.399
49 O 0.605 0.713 0.722
50 Li 0.501 0.250 0.833
51 O 0.192 0.120 0.579
52 Li 0.255 0.000 0.500
53 Co 0.500 0.500 0.992
54 O 0.898 0.596 0.934
55 O 0.416 0.799 0.257
56 O 0.584 0.383 0.410
57 Co 0.000 0.500 0.658
58 O 0.383 0.584 0.924
59 O 0.416 0.617 0.410
60 P 0.247 0.495 0.000
61 P 0.247 0.753 0.667
62 Li 0.255 0.255 0.167
63 P 0.756 0.756 0.667
64 O 0.395 0.287 0.722
65 P 0.505 0.753 0.333
66 O 0.201 0.584 0.076
67 O 0.584 0.201 0.257
68 O 0.404 0.302 0.268
69 P 0.244 0.000 0.000
70 O 0.799 0.383 0.590
71 O 0.383 0.799 0.743
72 O 0.072 0.192 0.245
73 Li 0.250 0.750 0.167
74 Li 0.000 0.255 0.833
75 O 0.596 0.698 0.268
76 P 0.756 0.000 0.000
77 O 0.898 0.302 0.732
78 Li 0.750 0.250 0.167
79 O 0.799 0.416 0.076
80 P 0.753 0.505 0.000
81 O 0.617 0.416 0.924
82 O 0.605 0.892 0.945
83 Co 0.000 0.000 0.833
84 Co 0.000 0.500 0.333

E_form in kJ/mol of formula units: -1558
Electronic total energy in eV/f.u.: -45.99
Total moment in μB/atom: 0.429
ΔE to the lowest computed polymorph in meV per atom: 100.8
Space-group type: No. 181

Record 2
DFT (GGA+U) results for a geometry-optimized Ba2Fe5BiPb2O13 structure.

abc: 13.836 13.836 5.810
angles: 89.06 89.06 16.52
Fractional coordinates of all 23 atoms:
1 Fe 0.602 0.602 0.493
2 O 0.109 0.109 0.495
3 Ba 0.102 0.102 0.995
4 O 0.450 0.450 0.739
5 O 0.220 0.220 0.946
6 Pb 0.806 0.806 0.502
7 O 0.891 0.891 0.505
8 Fe 0.398 0.398 0.507
9 Pb 0.194 0.194 0.498
10 O 0.662 0.662 0.239
11 O 0.550 0.550 0.261
12 Bi 0.000 0.000 0.500
13 O 0.338 0.338 0.761
14 Fe 0.500 0.500 0.000
15 O 0.336 0.336 0.278
16 O 0.000 0.000 0.000
17 O 0.449 0.449 0.265
18 Fe 0.707 0.707 0.987
19 Ba 0.898 0.898 0.005
20 O 0.664 0.664 0.722
21 Fe 0.293 0.293 0.013
22 O 0.551 0.551 0.735
23 O 0.780 0.780 0.054

E_form in kJ/mol of formula units: -4064
Electronic total energy in eV/f.u.: -143.74
Total moment in μB/atom: 1.087
Space-group type: No. 12

Record 3
DFT (GGA+U) results for a geometry-optimized MgMn8O13F3 structure.

abc: 6.715 5.758 7.056
angles: 84.81 94.05 90.09
Fractional coordinates of all 25 atoms:
1 Mn 0.861 0.162 0.128
2 O 0.181 0.618 0.108
3 F 0.931 0.392 0.367
4 Mg 0.880 0.901 0.608
5 O 0.678 0.632 0.599
6 Mn 0.133 0.667 0.372
7 O 0.824 0.392 0.903
8 F 0.337 0.363 0.405
9 O 0.414 0.387 0.851
10 O 0.071 0.628 0.641
11 O 0.428 0.878 0.831
12 Mn 0.161 0.871 0.914
13 Mn 0.879 0.380 0.646
14 O 0.345 0.872 0.426
15 F 0.841 0.859 0.902
16 Mn 0.592 0.823 0.329
17 O 0.102 0.112 0.691
18 O 0.881 0.887 0.319
19 O 0.676 0.150 0.590
20 Mn 0.608 0.619 0.867
21 Mn 0.365 0.345 0.115
22 O 0.145 0.125 0.090
23 Mn 0.397 0.134 0.634
24 O 0.576 0.108 0.159
25 O 0.575 0.576 0.133

E_form in kJ/mol of formula units: -4963
Electronic total energy in eV/f.u.: -172.74
Total moment in μB/atom: 1.160
ΔE to the lowest computed polymorph in meV per atom: 4.8
Space-group type: No. 1

Record 4
DFT (GGA+U) results for a geometry-optimized LiLa4CoO8 structure.

abc: 5.370 16.769 8.794
angles: 79.96 107.56 90.20
Fractional coordinates of all 56 atoms:
1 O 0.689 0.065 0.870
2 O 0.682 0.564 0.872
3 O 0.784 0.035 0.569
4 O 0.589 0.092 0.180
5 O 0.713 0.464 0.429
6 O 0.212 0.962 0.424
7 La 0.942 0.694 0.888
8 La 0.680 0.181 0.362
9 La 0.064 0.069 0.136
10 O 0.942 0.813 0.373
11 Co 0.625 0.375 0.250
12 O 0.661 0.658 0.320
13 O 0.407 0.910 0.815
14 La 0.055 0.306 0.113
15 La 0.557 0.807 0.114
16 La 0.442 0.194 0.888
17 La 0.569 0.569 0.138
18 O 0.811 0.436 0.129
19 O 0.319 0.436 0.128
20 Li 0.250 0.250 0.500
21 Li 0.000 0.500 0.000
22 O 0.842 0.840 0.684
23 O 0.091 0.591 0.180
24 O 0.070 0.686 0.630
25 O 0.444 0.812 0.376
26 O 0.932 0.314 0.372
27 O 0.190 0.564 0.872
28 La 0.819 0.319 0.638
29 O 0.562 0.685 0.630
30 O 0.159 0.159 0.320
31 La 0.809 0.556 0.613
32 La 0.306 0.056 0.612
33 La 0.186 0.681 0.364
34 Li 0.497 0.001 0.999
35 O 0.180 0.064 0.871
36 O 0.060 0.186 0.628
37 O 0.440 0.314 0.372
38 La 0.195 0.443 0.387
39 O 0.308 0.937 0.126
40 O 0.965 0.215 0.930
41 O 0.341 0.341 0.681
42 Co 0.125 0.875 0.250
43 O 0.467 0.715 0.930
44 O 0.568 0.186 0.628
45 Co 0.376 0.625 0.751
46 Co 0.874 0.125 0.749
47 La 0.693 0.943 0.386
48 O 0.910 0.410 0.819
49 Li 0.752 0.750 0.501
50 La 0.322 0.818 0.639
51 O 0.038 0.788 0.076
52 O 0.284 0.535 0.571
53 O 0.806 0.938 0.123
54 La 0.431 0.431 0.862
55 O 0.537 0.286 0.071
56 La 0.927 0.932 0.861

E_form in kJ/mol of formula units: -4361
Electronic total energy in eV/f.u.: -106.41
Total moment in μB/atom: 0.002
ΔE to the lowest computed polymorph in meV per atom: 3.8
Space-group type: No. 1

Record 5
DFT (GGA+U) results for a geometry-optimized Y4Si2Sb2W13O28 structure.

abc: 5.920 9.822 12.979
angles: 88.53 80.36 69.61
Fractional coordinates of all 49 atoms:
1 O 0.854 0.597 0.571
2 Y 0.452 0.678 0.575
3 Y 0.980 0.328 0.571
4 W 0.526 0.008 0.845
5 O 0.594 0.861 0.490
6 O 0.406 0.139 0.510
7 W 0.571 0.627 0.264
8 O 0.221 0.361 0.102
9 O 0.054 0.410 0.718
10 O 0.570 0.411 0.578
11 O 0.819 0.094 0.867
12 O 0.181 0.906 0.133
13 Si 0.841 0.711 0.996
14 W 0.878 0.643 0.727
15 W 0.109 0.684 0.164
16 O 0.946 0.590 0.282
17 W 0.429 0.373 0.736
18 W 0.474 0.992 0.155
19 O 0.254 0.617 0.731
20 O 0.089 0.858 0.517
21 O 0.547 0.142 0.711
22 O 0.430 0.589 0.422
23 O 0.341 0.872 0.904
24 W 0.000 0.000 0.000
25 O 0.140 0.665 0.995
26 O 0.659 0.128 0.096
27 O 0.911 0.142 0.483
28 W 0.122 0.357 0.273
29 Y 0.020 0.672 0.429
30 W 0.276 0.996 0.421
31 W 0.584 0.343 0.147
32 O 0.272 0.127 0.288
33 O 0.746 0.383 0.269
34 Sb 0.887 0.950 0.271
35 W 0.891 0.316 0.836
36 W 0.416 0.657 0.853
37 O 0.726 0.892 0.992
38 O 0.779 0.639 0.898
39 O 0.146 0.403 0.429
40 Si 0.159 0.289 0.004
41 Y 0.548 0.322 0.425
42 O 0.453 0.858 0.289
43 Sb 0.113 0.050 0.729
44 O 0.860 0.335 0.005
45 O 0.252 0.329 0.887
46 O 0.748 0.671 0.113
47 W 0.724 0.004 0.579
48 O 0.728 0.873 0.712
49 O 0.274 0.108 0.008

E_form in kJ/mol of formula units: -8419
Electronic total energy in eV/f.u.: -362.30
Total moment in μB/atom: 0.735
ΔE to the lowest computed polymorph in meV per atom: 0.0
Space-group type: No. 2

Record 6
DFT (GGA+U) results for a geometry-optimized Li9Mn2Co5O16 structure.

abc: 6.438 6.480 7.855
angles: 77.37 65.89 71.63
Fractional coordinates of all 32 atoms:
1 Li 0.564 0.432 0.817
2 Li 0.070 0.939 0.300
3 O 0.580 0.149 0.706
4 Li 0.807 0.179 0.060
5 Co 0.000 0.500 0.500
6 O 0.420 0.851 0.294
7 Mn 0.132 0.370 0.122
8 O 0.076 0.649 0.219
9 Co 0.623 0.874 0.632
10 O 0.047 0.236 0.383
11 Co 0.377 0.126 0.368
12 O 0.297 0.978 0.656
13 Li 0.193 0.821 0.940
14 O 0.204 0.509 0.860
15 O 0.703 0.022 0.344
16 O 0.796 0.491 0.140
17 O 0.448 0.287 0.096
18 Co 0.749 0.760 0.242
19 Mn 0.868 0.630 0.878
20 O 0.924 0.351 0.781
21 Li 0.500 0.000 0.000
22 Li 0.930 0.061 0.700
23 O 0.152 0.112 0.037
24 Li 0.681 0.310 0.441
25 O 0.848 0.888 0.963
26 O 0.323 0.398 0.467
27 O 0.953 0.764 0.617
28 Co 0.251 0.240 0.758
29 Li 0.319 0.690 0.559
30 O 0.677 0.602 0.533
31 O 0.552 0.713 0.904
32 Li 0.436 0.568 0.183

E_form in kJ/mol of formula units: -5676
Electronic total energy in eV/f.u.: -186.53
Total moment in μB/atom: 0.312
ΔE to the lowest computed polymorph in meV per atom: 25.6
Space-group type: No. 2

Question: The lowest total moment belongs to which entry?
Answer: LiLa4CoO8